# TmInAu

TmInAu after structural relaxation (r2SCAN, Materials Project).

abc: 7.6030 7.6030 3.9717
angles: 90.00 90.00 120.00
Space group P-62m (No. 189)
Unique sites:
Tm 0.0000 0.5957 0.0000 x3
In 0.0000 0.2609 0.5000 x3
Au 0.0000 0.0000 0.0000 x1
Au 0.3333 0.6667 0.5000 x2

Summary:
crystal system	hexagonal
energy of formation	-0.853	eV/atom
DFT total energy	-36.948	eV/atom
magnetic moment	0.00	Bohr magnetons per cell